No. 1
Below is a geometry-optimized LiFeSiO4 structure, with properties calculated at the PBE with a Hubbard U level.

Calculated values
**Space group**: Cc (9)
**Formation enthalpy at 0 K**: -57.3 kcal/mol of atoms
**Maximum piezoelectric response**: 1.1 C/m²

Lattice parameters (Å, degrees): 5.4768 5.4768 9.1094 63.35 63.35 53.16
Last column: nearest neighbours and their distance in Å.
Positions (direct):
O  0.5779  0.3839  0.8498  1 Si 1.64
O  0.1871  0.7601  0.0776  1 Si 1.64
O  0.1965  0.0862  0.6936  1 Si 1.64
O  0.8678  0.7729  0.8748  1 Si 1.66
O  0.0862  0.1965  0.1936  1 Si 1.64
O  0.3839  0.5779  0.3498  1 Si 1.64
O  0.7601  0.1871  0.5776  1 Si 1.64
O  0.7729  0.8678  0.3748  1 Si 1.66
Li  0.5361  0.7475  0.8674  3 O 1.94-2.00
Li  0.7475  0.5361  0.3674  3 O 1.94-2.00
Fe  0.4923  0.1751  0.5045  4 O 1.88-1.91
Fe  0.1751  0.4923  0.0045  4 O 1.88-1.91
Si  0.1092  0.8550  0.2472  4 O 1.64-1.66
Si  0.8550  0.1092  0.7472  4 O 1.64-1.66



No. 2
Below is a geometry-optimized Li2FeSiO4 structure, with properties calculated at the PBE with a Hubbard U level.

Calculated values
**Space group**: P2_1/c (14)
**Formation enthalpy at 0 K**: -58.6 kcal/mol of atoms

Lattice parameters (Å, degrees): 5.0369 6.3410 10.9859 87.59 90.00 90.00
Last column: nearest neighbours and their distance in Å.
Positions (direct):
Si  0.3131  0.7556  0.8389  4 O 1.62-1.69
Si  0.6869  0.2444  0.1611  4 O 1.62-1.69
Si  0.8131  0.2444  0.6611  4 O 1.62-1.69
Si  0.1869  0.7556  0.3389  4 O 1.62-1.69
Fe  0.2919  0.5191  0.5936  4 O 1.97-2.15
Fe  0.2081  0.5191  0.0936  4 O 1.97-2.15
Fe  0.7919  0.4809  0.9064  4 O 1.97-2.15
Fe  0.7081  0.4809  0.4064  4 O 1.97-2.15
Li  0.6888  0.9946  0.4151  4 O 1.96-2.02
Li  0.8112  0.9946  0.9151  4 O 1.96-2.02
Li  0.1918  0.2224  0.3258  4 O 1.96-2.18
Li  0.1888  0.0054  0.0849  4 O 1.96-2.02
Li  0.8082  0.7776  0.6742  4 O 1.96-2.18
Li  0.3082  0.2224  0.8258  4 O 1.96-2.18
Li  0.3113  0.0054  0.5849  4 O 1.96-2.02
Li  0.6918  0.7776  0.1742  4 O 1.96-2.18
O  0.2991  0.9567  0.4097  1 Si 1.62
O  0.7945  0.2419  0.3041  1 Si 1.66
O  0.1415  0.2466  0.6614  1 Si 1.65
O  0.7151  0.4769  0.5940  1 Si 1.69
O  0.7009  0.0433  0.5903  1 Si 1.62
O  0.7055  0.2419  0.8041  1 Si 1.66
O  0.3585  0.2466  0.1614  1 Si 1.65
O  0.7991  0.0433  0.0903  1 Si 1.62
O  0.8585  0.7534  0.3386  1 Si 1.65
O  0.2151  0.5231  0.9060  1 Si 1.69
O  0.2849  0.5231  0.4060  1 Si 1.69
O  0.2055  0.7581  0.6959  1 Si 1.66
O  0.2009  0.9567  0.9097  1 Si 1.62
O  0.6415  0.7534  0.8386  1 Si 1.65
O  0.7849  0.4769  0.0940  1 Si 1.69
O  0.2945  0.7581  0.1959  1 Si 1.66



No. 3
Below is a geometry-optimized Li2Fe3Si3O10 structure, with properties calculated at the PBE with a Hubbard U level.

Calculated values
**Space group**: C2/c (15)
**Formation enthalpy at 0 K**: -58.9 kcal/mol of atoms

Lattice parameters (Å, degrees): 8.3749 8.3749 10.4938 86.55 86.55 33.76
Last column: nearest neighbours and their distance in Å.
Positions (direct):
O  0.9497  0.9582  0.1447  1 Si 1.63
O  0.9582  0.9497  0.6447  1 Si 1.63
O  0.3006  0.2415  0.3298  1 Si 1.65
O  0.3051  0.3892  0.0438  1 Si 1.64
O  0.6949  0.6108  0.9562  1 Si 1.64
O  0.8234  0.8647  0.9001  1 Si 1.63
O  0.6525  0.4772  0.1741  2 Si 1.67
O  0.6994  0.7585  0.6702  1 Si 1.65
O  0.0418  0.0503  0.3553  1 Si 1.63
O  0.8647  0.8234  0.4001  1 Si 1.63
O  0.0503  0.0418  0.8553  1 Si 1.63
O  0.3892  0.3051  0.5438  1 Si 1.64
O  0.3475  0.5228  0.8259  2 Si 1.67
O  0.4772  0.6525  0.6741  2 Si 1.67
O  0.2415  0.3006  0.8298  1 Si 1.65
O  0.5228  0.3475  0.3259  2 Si 1.67
O  0.1353  0.1766  0.5999  1 Si 1.63
O  0.6108  0.6949  0.4562  1 Si 1.64
O  0.1766  0.1353  0.0999  1 Si 1.63
O  0.7585  0.6994  0.1702  1 Si 1.65
Si  0.8125  0.1875  0.2500  4 O 1.63-1.67
Si  0.1875  0.8125  0.7500  4 O 1.63-1.67
Si  0.4689  0.8396  0.5971  4 O 1.63-1.67
Si  0.1604  0.5311  0.9029  4 O 1.63-1.67
Si  0.8396  0.4689  0.0971  4 O 1.63-1.67
Si  0.5311  0.1604  0.4029  4 O 1.63-1.67
Fe  0.3731  0.9394  0.2907  5 O 2.09-2.25
Fe  0.0606  0.6269  0.2093  5 O 2.09-2.25
Fe  0.6269  0.0606  0.7093  5 O 2.09-2.25
Fe  0.0000  0.5000  0.5000  6 O 2.10-2.25
Fe  0.5000  0.0000  0.0000  6 O 2.10-2.25
Fe  0.9394  0.3731  0.7907  5 O 2.09-2.25
Li  0.2654  0.8535  0.0218  2 O 2.01-2.03
Li  0.7346  0.1465  0.9782  2 O 2.01-2.03
Li  0.8535  0.2654  0.5218  2 O 2.01-2.03
Li  0.1465  0.7346  0.4782  2 O 2.01-2.03



No. 4
Below is a geometry-optimized LiFeSiO4 structure, with properties calculated at the PBE with a Hubbard U level.

Calculated values
**Space group**: P2_1/c (14)
**Formation enthalpy at 0 K**: -58.1 kcal/mol of atoms

Lattice parameters (Å, degrees): 10.3443 5.1046 8.4220 53.34 90.00 90.00
Last column: nearest neighbours and their distance in Å.
Positions (direct):
Si  0.0917  0.0478  0.7641  4 O 1.64-1.65
Si  0.4083  0.0478  0.2641  4 O 1.64-1.65
Si  0.9083  0.9522  0.2359  4 O 1.64-1.65
Si  0.5917  0.9522  0.7359  4 O 1.64-1.65
Li  0.3476  0.8049  0.0076  4 O 2.00-2.07
Li  0.1524  0.8049  0.5076  4 O 2.00-2.07
Li  0.8476  0.1951  0.4924  4 O 2.00-2.07
Li  0.6524  0.1951  0.9924  4 O 2.00-2.07
O  0.4369  0.0178  0.7405  1 Si 1.64
O  0.3357  0.7225  0.4564  1 Si 1.65
O  0.6164  0.6431  0.7255  1 Si 1.65
O  0.8374  0.8655  0.4374  1 Si 1.65
O  0.6626  0.8655  0.9374  1 Si 1.65
O  0.1643  0.7225  0.9564  1 Si 1.65
O  0.3836  0.3569  0.2745  1 Si 1.65
O  0.1164  0.3569  0.7745  1 Si 1.65
O  0.5631  0.9822  0.2595  1 Si 1.64
O  0.3374  0.1345  0.0626  1 Si 1.65
O  0.6643  0.2775  0.5436  1 Si 1.65
O  0.0631  0.0178  0.2405  1 Si 1.64
O  0.8357  0.2775  0.0436  1 Si 1.65
O  0.1626  0.1345  0.5626  1 Si 1.65
O  0.8836  0.6431  0.2255  1 Si 1.65
O  0.9369  0.9822  0.7595  1 Si 1.64
Fe  0.6658  0.6950  0.4908  4 O 1.90-1.91
Fe  0.1658  0.3050  0.0092  4 O 1.90-1.91
Fe  0.8342  0.6950  0.9908  4 O 1.90-1.91
Fe  0.3342  0.3050  0.5092  4 O 1.90-1.91



No. 5
Below is a geometry-optimized LiFeSiO4 structure, with properties calculated at the PBE with a Hubbard U level.

Calculated values
**Formation enthalpy at 0 K**: -56.9 kcal/mol of atoms
**Maximum piezoelectric response**: 0.4 C/m²

Lattice parameters (Å, degrees): 4.5395 8.5999 4.5395 90.00 90.00 90.00
Last column: nearest neighbours and their distance in Å.
Positions (direct):
Si  0.0000  0.0000  0.0000  4 O 1.65
Si  0.5000  0.5000  0.5000  4 O 1.65
O  0.3168  0.3917  0.7382  1 Si 1.65
O  0.6832  0.3917  0.2618  1 Si 1.65
O  0.2382  0.1083  0.1832  1 Si 1.65
O  0.1832  0.8917  0.7618  1 Si 1.65
O  0.7382  0.6083  0.6832  1 Si 1.65
O  0.7618  0.1083  0.8168  1 Si 1.65
O  0.2618  0.6083  0.3168  1 Si 1.65
O  0.8168  0.8917  0.2382  1 Si 1.65
Fe  0.5000  0.2500  0.0000  4 O 1.89
Fe  0.0000  0.7500  0.5000  4 O 1.89
Li  0.0000  0.5000  0.0000  4 O 2.09
Li  0.5000  0.0000  0.5000  4 O 2.09



No. 6
Below is a geometry-optimized LiFeSiO4 structure, with properties calculated at the PBE with a Hubbard U level.

Calculated values
**Space group**: Pca2_1 (29)
**Formation enthalpy at 0 K**: -58.0 kcal/mol of atoms

Lattice parameters (Å, degrees): 5.1371 10.2736 13.4567 90.00 90.00 90.00
Last column: nearest neighbours and their distance in Å.
Positions (direct):
O  0.5655  0.9668  0.7220  1 Si 1.65
O  0.0985  0.7326  0.4710  1 Si 1.65
O  0.9941  0.5552  0.8643  1 Si 1.64
O  0.9941  0.9448  0.3643  1 Si 1.64
O  0.3675  0.2516  0.3808  1 Si 1.65
O  0.0985  0.7674  0.9710  1 Si 1.65
O  0.0568  0.7882  0.7730  1 Si 1.65
O  0.4900  0.1908  0.6196  1 Si 1.64
O  0.1093  0.4914  0.1290  1 Si 1.65
O  0.0059  0.4448  0.3643  1 Si 1.64
O  0.5418  0.9628  0.5243  1 Si 1.65
O  0.4582  0.4628  0.5243  1 Si 1.65
O  0.6325  0.7516  0.3808  1 Si 1.65
O  0.5655  0.5332  0.2220  1 Si 1.65
O  0.5100  0.6908  0.6196  1 Si 1.64
O  0.8907  0.9914  0.1290  1 Si 1.65
O  0.8907  0.5086  0.6290  1 Si 1.65
O  0.4900  0.3092  0.1196  1 Si 1.64
O  0.4582  0.0372  0.0243  1 Si 1.65
O  0.0568  0.7118  0.2730  1 Si 1.65
O  0.1093  0.0086  0.6290  1 Si 1.65
O  0.9015  0.2674  0.9710  1 Si 1.65
O  0.9432  0.2882  0.7730  1 Si 1.65
O  0.5418  0.5372  0.0243  1 Si 1.65
O  0.6325  0.7484  0.8808  1 Si 1.65
O  0.9015  0.2326  0.4710  1 Si 1.65
O  0.0059  0.0552  0.8643  1 Si 1.64
O  0.5100  0.8092  0.1196  1 Si 1.64
O  0.9432  0.2118  0.2730  1 Si 1.65
O  0.4345  0.0332  0.2220  1 Si 1.65
O  0.4345  0.4668  0.7220  1 Si 1.65
O  0.3675  0.2484  0.8808  1 Si 1.65
Li  0.0910  0.9638  0.9965  4 O 2.05-2.08
Li  0.4397  0.7843  0.7507  4 O 1.99-2.05
Li  0.9090  0.4638  0.9965  4 O 2.05-2.08
Li  0.5603  0.2843  0.7507  4 O 1.99-2.05
Li  0.9090  0.0362  0.4965  4 O 2.05-2.08
Li  0.0910  0.5362  0.4965  4 O 2.05-2.08
Li  0.4397  0.7157  0.2507  4 O 1.99-2.05
Li  0.5603  0.2157  0.2507  4 O 1.99-2.05
Si  0.9444  0.7129  0.8720  4 O 1.64-1.65
Si  0.0556  0.2871  0.3720  4 O 1.64-1.65
Si  0.9444  0.7871  0.3720  4 O 1.64-1.65
Si  0.4256  0.0345  0.6246  4 O 1.64-1.65
Si  0.5744  0.9655  0.1246  4 O 1.64-1.65
Si  0.4256  0.4655  0.1246  4 O 1.64-1.65
Si  0.0556  0.2129  0.8720  4 O 1.64-1.65
Si  0.5744  0.5345  0.6246  4 O 1.64-1.65
Fe  0.0698  0.4595  0.7466  4 O 1.90-1.91
Fe  0.9302  0.5405  0.2466  4 O 1.90-1.91
Fe  0.5549  0.2861  0.5001  4 O 1.90-1.91
Fe  0.9302  0.9595  0.7466  4 O 1.90-1.91
Fe  0.4451  0.7139  0.0001  4 O 1.90-1.91
Fe  0.5549  0.2139  0.0001  4 O 1.90-1.91
Fe  0.0698  0.0405  0.2466  4 O 1.90-1.91
Fe  0.4451  0.7861  0.5001  4 O 1.90-1.91



No. 7
Below is a geometry-optimized LiFeSiO4 structure, with properties calculated at the PBE with a Hubbard U level.

Calculated values
**Space group**: Pca2_1 (29)
**Formation enthalpy at 0 K**: -58.0 kcal/mol of atoms

Lattice parameters (Å, degrees): 5.1367 10.2999 13.4651 90.00 90.00 90.00
Last column: nearest neighbours and their distance in Å.
Positions (direct):
O  0.5749  0.9750  0.5251  1 Si 1.65
O  0.0096  0.9404  0.3786  1 Si 1.65
O  0.9904  0.4404  0.3786  1 Si 1.65
O  0.8837  0.5040  0.6152  1 Si 1.64
O  0.9201  0.2825  0.7735  1 Si 1.64
O  0.4913  0.1905  0.6318  1 Si 1.64
O  0.0794  0.7855  0.9708  1 Si 1.65
O  0.5087  0.6905  0.6318  1 Si 1.64
O  0.9904  0.0596  0.8786  1 Si 1.65
O  0.4251  0.0250  0.0251  1 Si 1.65
O  0.9206  0.2145  0.4708  1 Si 1.65
O  0.9201  0.2175  0.2735  1 Si 1.64
O  0.3684  0.2424  0.8680  1 Si 1.65
O  0.8837  0.9960  0.1152  1 Si 1.64
O  0.4913  0.3095  0.1318  1 Si 1.64
O  0.4525  0.0407  0.2225  1 Si 1.65
O  0.0799  0.7175  0.2735  1 Si 1.64
O  0.9206  0.2855  0.9708  1 Si 1.65
O  0.6316  0.7424  0.8680  1 Si 1.65
O  0.1163  0.4960  0.1152  1 Si 1.64
O  0.0794  0.7145  0.4708  1 Si 1.65
O  0.5749  0.5250  0.0251  1 Si 1.65
O  0.1163  0.0040  0.6152  1 Si 1.64
O  0.5475  0.5407  0.2225  1 Si 1.65
O  0.5087  0.8095  0.1318  1 Si 1.64
O  0.4251  0.4750  0.5251  1 Si 1.65
O  0.3684  0.2576  0.3680  1 Si 1.65
O  0.6316  0.7576  0.3680  1 Si 1.65
O  0.0799  0.7825  0.7735  1 Si 1.64
O  0.5475  0.9593  0.7225  1 Si 1.65
O  0.0096  0.5596  0.8786  1 Si 1.65
O  0.4525  0.4593  0.7225  1 Si 1.65
Li  0.0661  0.4633  0.7464  4 O 2.01-2.06
Li  0.4474  0.7887  0.4985  4 O 2.02-2.08
Li  0.9339  0.9633  0.7464  4 O 2.01-2.06
Li  0.4474  0.7113  0.9985  4 O 2.02-2.08
Li  0.5526  0.2887  0.4985  4 O 2.02-2.08
Li  0.0661  0.0367  0.2464  4 O 2.01-2.06
Li  0.9339  0.5367  0.2464  4 O 2.01-2.06
Li  0.5526  0.2113  0.9985  4 O 2.02-2.08
Si  0.4296  0.0344  0.6243  4 O 1.64-1.65
Si  0.0521  0.2164  0.8725  4 O 1.64-1.65
Si  0.9479  0.7836  0.3725  4 O 1.64-1.65
Si  0.5704  0.9656  0.1243  4 O 1.64-1.65
Si  0.0521  0.2836  0.3725  4 O 1.64-1.65
Si  0.9479  0.7164  0.8725  4 O 1.64-1.65
Si  0.5704  0.5344  0.6243  4 O 1.64-1.65
Si  0.4296  0.4656  0.1243  4 O 1.64-1.65
Fe  0.0817  0.5332  0.4967  4 O 1.90-1.92
Fe  0.9183  0.0332  0.4967  4 O 1.90-1.92
Fe  0.4449  0.7143  0.2504  4 O 1.90
Fe  0.4449  0.7857  0.7504  4 O 1.90
Fe  0.5551  0.2857  0.7504  4 O 1.90
Fe  0.9183  0.4668  0.9967  4 O 1.90-1.92
Fe  0.0817  0.9668  0.9967  4 O 1.90-1.92
Fe  0.5551  0.2143  0.2504  4 O 1.90



No. 8
Below is a geometry-optimized Li5Fe5Si7O24 structure, with properties calculated at the PBE with a Hubbard U level.

Calculated values
**Space group**: P1 (1)
**Formation enthalpy at 0 K**: -59.1 kcal/mol of atoms

Lattice parameters (Å, degrees): 7.8530 7.9547 9.7800 91.09 91.46 90.54
Last column: nearest neighbours and their distance in Å.
Positions (direct):
Li  0.4920  0.8197  0.2071  2 O 2.01-2.07
Li  0.4323  0.3051  0.7499  3 O 2.02-2.24
Li  0.8217  0.4749  0.2841  2 O 1.88-1.97
Li  0.7272  0.9958  0.9928  2 O 1.96-2.02
Li  0.0115  0.3369  0.0291  3 O 1.89-2.07
O  0.4028  0.3944  0.9468  1 Si 1.65
O  0.6398  0.3401  0.3649  1 Si 1.64
O  0.9077  0.4413  0.8768  2 Fe 1.82-1.84, 1 Li 1.89
O  0.1682  0.1731  0.1052  1 Si 1.66
O  0.6440  0.3609  0.6463  1 Si 1.63
O  0.8764  0.1387  0.2107  1 Si 1.65
O  0.6079  0.9373  0.4006  1 Si 1.64
O  0.3219  0.6477  0.1331  1 Si 1.64
O  0.4555  0.8590  0.6355  2 Si 1.64-1.65
O  0.0530  0.3572  0.6043  1 Si 1.60
O  0.8668  0.8322  0.8956  1 Si 1.64
O  0.3842  0.0548  0.8438  1 Si 1.65
O  0.9458  0.5531  0.1357  2 Fe 1.87-1.89, 2 Li 1.88-2.07
O  0.1536  0.1977  0.3781  2 Si 1.63-1.64
O  0.6096  0.6300  0.4792  2 Si 1.64-1.65
O  0.5404  0.0528  0.1240  2 Fe 1.90-1.92, 2 Li 2.02-2.07
O  0.1277  0.8750  0.7190  2 Si 1.65
O  0.6142  0.6497  0.0438  1 Si 1.63
O  0.1115  0.8985  0.2635  1 Si 1.61
O  0.8889  0.1108  0.7869  1 Si 1.61
O  0.3600  0.7092  0.8631  2 Si 1.65
O  0.0935  0.5321  0.3829  1 Si 1.62
O  0.8034  0.8493  0.6219  2 Si 1.64-1.66
O  0.3619  0.3969  0.5232  2 Si 1.63-1.65
Fe  0.3756  0.1692  0.0164  4 O 1.87-1.94
Fe  0.6613  0.1200  0.2897  4 O 1.88-1.92
Fe  0.8716  0.3246  0.7140  4 O 1.82-1.92
Fe  0.1215  0.6684  0.2319  4 O 1.85-1.87
Fe  0.8334  0.6231  0.9742  4 O 1.82-1.89
Si  0.0786  0.0962  0.2425  4 O 1.61-1.66
Si  0.1621  0.3733  0.4694  4 O 1.60-1.65
Si  0.3300  0.8748  0.7672  4 O 1.65
Si  0.9271  0.9159  0.7520  4 O 1.61-1.66
Si  0.6203  0.8247  0.5394  4 O 1.64-1.65
Si  0.5649  0.4308  0.5031  4 O 1.63-1.64
Si  0.4213  0.5942  0.9939  4 O 1.63-1.65



| no. | E_tot (eV per atom) |
| --- | --- |
| 1 | -6.857 |
| 2 | -6.603 |
| 3 | -7.071 |
| 4 | -6.888 |
| 5 | -6.840 |
| 6 | -6.886 |
| 7 | -6.886 |
| 8 | -6.973 |